{
  "formula": "La2MnCrO6",
  "functional": "GGA+U",
  "state": "relaxed",
  "e_form_kj_per_mol_atoms": -298,
  "sg": "P-1 (2)",
  "de_polymorph_ev_per_atom": 0.000,
  "cell": [[-0.158, -0.021, -5.629], [-0.031, -7.763, -0.031], [-5.720, -0.022, -0.161]],
  "species": ["La", "La", "La", "La", "Mn", "Mn", "Cr", "Cr", "O", "O", "O", "O", "O", "O", "O", "O", "O", "O", "O", "O"],
  "frac_coords": [[0.488, 0.750, 0.543], [0.005, 0.750, 0.043], [0.513, 0.250, 0.457], [0.995, 0.250, 0.957], [0.000, 0.500, 0.500], [0.500, 0.000, 0.000], [0.500, 0.500, 0.000], [0.000, 0.000, 0.500], [0.704, 0.045, 0.713], [0.778, 0.456, 0.196], [0.295, 0.955, 0.287], [0.222, 0.544, 0.804], [0.288, 0.542, 0.297], [0.199, 0.954, 0.778], [0.712, 0.458, 0.703], [0.801, 0.046, 0.222], [0.917, 0.747, 0.478], [0.584, 0.754, 0.976], [0.082, 0.254, 0.522], [0.416, 0.246, 0.024]]
}

=====

{
  "formula": "Li3V3P8O29",
  "functional": "GGA+U",
  "state": "relaxed",
  "e_form_kj_per_mol_atoms": -244,
  "sg": "P1 (1)",
  "de_polymorph_ev_per_atom": 0.007,
  "cell": [[-6.212, -4.897, -5.760], [-3.019, -8.943, 2.592], [-11.332, 5.810, 7.125]],
  "species": ["Li", "Li", "Li", "Li", "Li", "Li", "V", "V", "V", "V", "V", "V", "P", "P", "P", "P", "P", "P", "P", "P", "P", "P", "P", "P", "P", "P", "P", "P", "O", "O", "O", "O", "O", "O", "O", "O", "O", "O", "O", "O", "O", "O", "O", "O", "O", "O", "O", "O", "O", "O", "O", "O", "O", "O", "O", "O", "O", "O", "O", "O", "O", "O", "O", "O", "O", "O", "O", "O", "O", "O", "O", "O", "O", "O", "O", "O", "O", "O", "O", "O", "O", "O", "O", "O", "O", "O"],
  "frac_coords": [[0.921, 0.299, 0.949], [0.783, 0.918, 0.949], [0.292, 0.784, 0.952], [0.323, 0.911, 0.436], [0.220, 0.683, 0.544], [0.913, 0.085, 0.479], [0.566, 0.000, 0.745], [0.437, 0.000, 0.250], [0.571, 0.433, 0.251], [0.439, 0.561, 0.751], [0.004, 0.435, 0.746], [0.995, 0.566, 0.257], [0.914, 0.316, 0.160], [0.777, 0.309, 0.660], [0.920, 0.776, 0.662], [0.668, 0.667, 0.863], [0.661, 0.668, 0.369], [0.776, 0.906, 0.162], [0.694, 0.084, 0.337], [0.320, 0.772, 0.162], [0.687, 0.225, 0.838], [0.319, 0.909, 0.656], [0.227, 0.086, 0.833], [0.335, 0.335, 0.635], [0.331, 0.338, 0.138], [0.084, 0.218, 0.338], [0.228, 0.683, 0.337], [0.088, 0.684, 0.840], [0.005, 0.190, 0.417], [0.911, 0.348, 0.674], [0.770, 0.235, 0.920], [0.745, 0.341, 0.172], [0.905, 0.476, 0.184], [0.820, 0.521, 0.824], [0.920, 0.616, 0.674], [0.999, 0.766, 0.924], [0.918, 0.738, 0.175], [0.665, 0.520, 0.324], [0.616, 0.465, 0.675], [0.810, 0.669, 0.327], [0.657, 0.670, 0.965], [0.655, 0.666, 0.471], [0.663, 0.819, 0.822], [0.478, 0.620, 0.180], [0.523, 0.660, 0.819], [0.747, 0.913, 0.670], [0.791, 0.008, 0.242], [0.793, 0.007, 0.418], [0.769, 0.977, 0.071], [0.622, 0.899, 0.183], [0.509, 0.817, 0.330], [0.660, 0.081, 0.837], [0.477, 0.907, 0.676], [0.342, 0.740, 0.669], [0.791, 0.202, 0.747], [0.790, 0.223, 0.575], [0.226, 0.771, 0.423], [0.651, 0.259, 0.329], [0.540, 0.075, 0.329], [0.344, 0.916, 0.174], [0.484, 0.186, 0.676], [0.382, 0.093, 0.816], [0.234, 0.990, 0.913], [0.252, 0.974, 0.565], [0.204, 0.011, 0.738], [0.261, 0.085, 0.336], [0.474, 0.348, 0.178], [0.526, 0.378, 0.820], [0.349, 0.181, 0.183], [0.327, 0.337, 0.037], [0.329, 0.346, 0.534], [0.189, 0.329, 0.679], [0.385, 0.529, 0.326], [0.329, 0.486, 0.678], [0.084, 0.255, 0.834], [0.015, 0.198, 0.242], [0.985, 0.252, 0.070], [0.073, 0.382, 0.333], [0.181, 0.472, 0.186], [0.095, 0.524, 0.820], [0.259, 0.658, 0.838], [0.246, 0.772, 0.074], [0.206, 0.790, 0.248], [0.088, 0.652, 0.335], [0.005, 0.783, 0.579], [0.004, 0.792, 0.752]]
}

=====

{
  "formula": "KNa7V6Cr2O20",
  "functional": "GGA+U",
  "state": "relaxed",
  "e_form_kj_per_mol_atoms": -214,
  "sg": "P1 (1)",
  "cell": [[0.001, 0.041, 10.865], [11.168, -0.002, 0.001], [-5.587, 14.580, -5.376]],
  "species": ["K", "K", "K", "K", "Na", "Na", "Na", "Na", "Na", "Na", "Na", "Na", "Na", "Na", "Na", "Na", "Na", "Na", "Na", "Na", "Na", "Na", "Na", "Na", "Na", "Na", "Na", "Na", "Na", "Na", "Na", "Na", "V", "V", "V", "V", "V", "V", "V", "V", "V", "V", "V", "V", "V", "V", "V", "V", "V", "V", "V", "V", "V", "V", "V", "V", "Cr", "Cr", "Cr", "Cr", "Cr", "Cr", "Cr", "Cr", "O", "O", "O", "O", "O", "O", "O", "O", "O", "O", "O", "O", "O", "O", "O", "O", "O", "O", "O", "O", "O", "O", "O", "O", "O", "O", "O", "O", "O", "O", "O", "O", "O", "O", "O", "O", "O", "O", "O", "O", "O", "O", "O", "O", "O", "O", "O", "O", "O", "O", "O", "O", "O", "O", "O", "O", "O", "O", "O", "O", "O", "O", "O", "O", "O", "O", "O", "O", "O", "O", "O", "O", "O", "O", "O", "O", "O", "O", "O", "O"],
  "frac_coords": [[0.305, 0.065, 0.112], [0.806, 0.064, 0.112], [0.056, 0.796, 0.112], [0.556, 0.797, 0.112], [0.303, 0.067, 0.607], [0.303, 0.564, 0.104], [0.303, 0.567, 0.608], [0.805, 0.067, 0.608], [0.803, 0.566, 0.104], [0.802, 0.568, 0.608], [0.196, 0.434, 0.394], [0.199, 0.434, 0.894], [0.198, 0.934, 0.395], [0.198, 0.934, 0.894], [0.696, 0.435, 0.394], [0.699, 0.435, 0.894], [0.697, 0.931, 0.394], [0.698, 0.933, 0.894], [0.055, 0.290, 0.104], [0.055, 0.289, 0.608], [0.054, 0.791, 0.607], [0.550, 0.290, 0.104], [0.552, 0.291, 0.608], [0.554, 0.790, 0.608], [0.445, 0.213, 0.394], [0.447, 0.211, 0.894], [0.447, 0.709, 0.394], [0.448, 0.709, 0.893], [0.948, 0.211, 0.396], [0.951, 0.211, 0.894], [0.947, 0.710, 0.394], [0.948, 0.709, 0.894], [0.004, 0.000, 0.500], [0.003, 0.499, 0.501], [0.503, 0.502, 0.499], [0.256, 0.248, 0.501], [0.253, 0.754, 0.500], [0.754, 0.251, 0.997], [0.746, 0.246, 0.500], [0.754, 0.749, 0.500], [0.111, 0.096, 0.254], [0.104, 0.090, 0.750], [0.104, 0.587, 0.250], [0.103, 0.588, 0.749], [0.612, 0.097, 0.255], [0.604, 0.090, 0.749], [0.604, 0.587, 0.250], [0.603, 0.588, 0.749], [0.354, 0.414, 0.251], [0.354, 0.410, 0.751], [0.362, 0.910, 0.256], [0.353, 0.911, 0.749], [0.854, 0.414, 0.251], [0.854, 0.410, 0.750], [0.861, 0.910, 0.255], [0.854, 0.911, 0.749], [0.003, 0.998, 0.995], [0.007, 0.498, 0.997], [0.500, 0.995, 0.994], [0.505, 0.997, 0.501], [0.503, 0.499, 0.997], [0.255, 0.250, 0.997], [0.251, 0.747, 0.993], [0.751, 0.746, 0.993], [0.122, 0.114, 0.490], [0.122, 0.124, 0.983], [0.130, 0.622, 0.490], [0.123, 0.615, 0.983], [0.631, 0.124, 0.489], [0.628, 0.128, 0.987], [0.623, 0.613, 0.489], [0.626, 0.618, 0.984], [0.136, 0.380, 0.012], [0.145, 0.375, 0.511], [0.132, 0.871, 0.003], [0.133, 0.884, 0.512], [0.640, 0.373, 0.008], [0.640, 0.383, 0.512], [0.631, 0.874, 0.002], [0.642, 0.872, 0.512], [0.372, 0.125, 0.490], [0.373, 0.120, 0.983], [0.382, 0.612, 0.489], [0.368, 0.616, 0.983], [0.881, 0.115, 0.490], [0.870, 0.127, 0.987], [0.874, 0.626, 0.489], [0.871, 0.613, 0.984], [0.385, 0.379, 0.012], [0.397, 0.388, 0.512], [0.379, 0.876, 0.003], [0.381, 0.873, 0.511], [0.881, 0.375, 0.008], [0.896, 0.388, 0.512], [0.878, 0.874, 0.002], [0.891, 0.889, 0.511], [0.075, 0.096, 0.142], [0.081, 0.098, 0.640], [0.081, 0.586, 0.140], [0.081, 0.598, 0.639], [0.576, 0.097, 0.143], [0.582, 0.098, 0.639], [0.584, 0.586, 0.140], [0.582, 0.598, 0.639], [0.443, 0.403, 0.361], [0.442, 0.398, 0.858], [0.447, 0.897, 0.364], [0.442, 0.900, 0.856], [0.944, 0.405, 0.361], [0.940, 0.398, 0.857], [0.946, 0.898, 0.364], [0.940, 0.901, 0.856], [0.333, 0.303, 0.141], [0.332, 0.291, 0.641], [0.326, 0.796, 0.144], [0.331, 0.791, 0.640], [0.832, 0.303, 0.140], [0.833, 0.293, 0.638], [0.826, 0.796, 0.143], [0.832, 0.791, 0.640], [0.197, 0.216, 0.362], [0.191, 0.210, 0.857], [0.191, 0.707, 0.360], [0.190, 0.707, 0.855], [0.698, 0.217, 0.365], [0.690, 0.208, 0.857], [0.693, 0.707, 0.359], [0.691, 0.706, 0.855], [0.450, 0.060, 0.264], [0.433, 0.060, 0.749], [0.433, 0.564, 0.252], [0.432, 0.559, 0.749], [0.949, 0.059, 0.264], [0.932, 0.061, 0.749], [0.932, 0.563, 0.251], [0.933, 0.560, 0.750], [0.183, 0.438, 0.253], [0.182, 0.439, 0.749], [0.199, 0.955, 0.264], [0.182, 0.940, 0.749], [0.683, 0.437, 0.252], [0.683, 0.439, 0.749], [0.699, 0.955, 0.264], [0.682, 0.940, 0.749]]
}

=====

{
  "formula": "Li9Mn2Co5O16",
  "functional": "GGA+U",
  "state": "relaxed",
  "e_form_kj_per_mol_atoms": -171,
  "sg": "C2/m (12)",
  "de_polymorph_ev_per_atom": 0.092,
  "cell": [[1.449, 7.662, 0.000], [-1.449, 7.662, 0.000], [0.000, 0.639, 13.045]],
  "species": ["Li", "Li", "Li", "Li", "Li", "Li", "Li", "Li", "Li", "Mn", "Mn", "Co", "Co", "Co", "Co", "Co", "O", "O", "O", "O", "O", "O", "O", "O", "O", "O", "O", "O", "O", "O", "O", "O"],
  "frac_coords": [[0.563, 0.563, 0.826], [0.437, 0.437, 0.174], [0.315, 0.315, 0.563], [0.188, 0.188, 0.940], [0.065, 0.065, 0.302], [0.935, 0.935, 0.698], [0.812, 0.812, 0.060], [0.685, 0.685, 0.437], [0.000, 0.000, 0.000], [0.125, 0.125, 0.627], [0.875, 0.875, 0.373], [0.755, 0.755, 0.753], [0.617, 0.617, 0.109], [0.500, 0.500, 0.500], [0.383, 0.383, 0.891], [0.245, 0.245, 0.247], [0.543, 0.543, 0.657], [0.402, 0.402, 0.026], [0.292, 0.292, 0.402], [0.163, 0.163, 0.769], [0.039, 0.039, 0.154], [0.906, 0.906, 0.515], [0.789, 0.789, 0.897], [0.663, 0.663, 0.284], [0.598, 0.598, 0.974], [0.457, 0.457, 0.343], [0.337, 0.337, 0.716], [0.211, 0.211, 0.103], [0.094, 0.094, 0.485], [0.961, 0.961, 0.846], [0.837, 0.837, 0.231], [0.708, 0.708, 0.598]]
}